No. 1
A plane-wave DFT calculation with PBE was carried out for a relaxed Li6Ni2N3 crystal.

abc: 3.5233 6.4808 6.4808
angles: 120.20 90.00 90.00
Last column: nearest neighbours and their distance in Å.
Fractional positions:
Li 0.0000 0.0000 0.0000  3 N 2.13-2.33, 2 Li 2.34
Li 0.0000 0.2849 0.5365  2 N 2.05-2.14
Li 0.0000 0.5365 0.2849  2 N 2.05-2.14
Li 0.0000 0.6091 0.9326  3 N 2.01-2.10
Li 0.0000 0.9326 0.6091  3 N 2.01-2.10
Li 0.5000 0.6432 0.6432  2 N 1.76
Ni 0.5000 0.2771 0.9110  2 N 1.76
Ni 0.5000 0.9110 0.2771  2 N 1.76
N 0.0000 0.2763 0.9121  2 Ni 1.76
N 0.0000 0.6399 0.6399  2 Li 1.76
N 0.0000 0.9121 0.2763  2 Ni 1.76

Output
- E_tot: -0.17286 Ha/atom
- Space-group type: Amm2 (38)
- Energy of formation: -0.44 eV/atom

No. 2
A plane-wave DFT calculation with PBE was carried out for a relaxed Sr3Li3Ni4N4 crystal.

abc: 9.3364 9.3364 9.3364
angles: 154.93 135.57 51.69
Last column: nearest neighbours and their distance in Å.
Fractional positions:
Sr 0.0000 0.0000 0.0000  4 N 2.82
Sr 0.2182 0.2182 0.0000  3 N 2.65-2.71
Sr 0.7818 0.7818 0.0000  3 N 2.65-2.71
Li 0.3841 0.8841 0.5000  2 N 2.03
Li 0.5000 0.5000 0.0000  2 N 2.03
Li 0.6159 0.1159 0.5000  2 N 2.03
Ni 0.1303 0.3803 0.7500  2 N 1.76-1.77
Ni 0.3698 0.6197 0.7500  2 N 1.76-1.77
Ni 0.6302 0.3803 0.2500  2 N 1.76-1.77
Ni 0.8697 0.6197 0.2500  2 N 1.76-1.77
N 0.1164 0.6164 0.5000  2 Ni 1.77
N 0.3795 0.3795 0.0000  2 Ni 1.76
N 0.6205 0.6205 0.0000  2 Ni 1.76
N 0.8836 0.3836 0.5000  2 Ni 1.77

Output
- E_tot: -0.19522 Ha/atom
- Space-group type: Immm (71)
- Energy of formation: -0.61 eV/atom

No. 3
A plane-wave DFT calculation with PBE was carried out for a relaxed Sr10Li24NiN15 crystal.

abc: 52.0445 52.0445 3.9168
angles: 90.00 90.00 175.85
Last column: nearest neighbours and their distance in Å.
Fractional positions:
Sr 0.0176 0.9824 0.0000  4 N 2.63-2.68, 1 Li 2.79
Sr 0.1828 0.8172 0.0000  4 N 2.65-2.66, 1 Li 2.82
Sr 0.2172 0.7828 0.0000  4 N 2.65, 1 Li 2.82
Sr 0.3828 0.6172 0.0000  4 N 2.65, 1 Li 2.82
Sr 0.4172 0.5828 0.0000  4 N 2.65-2.66, 1 Li 2.82
Sr 0.5828 0.4172 0.0000  4 N 2.65-2.66, 1 Li 2.82
Sr 0.6172 0.3828 0.0000  4 N 2.65, 1 Li 2.82
Sr 0.7828 0.2172 0.0000  4 N 2.65, 1 Li 2.82
Sr 0.8172 0.1828 0.0000  4 N 2.65-2.66, 1 Li 2.82
Sr 0.9824 0.0176 0.0000  4 N 2.63-2.68, 1 Li 2.79
Li 0.0444 0.9556 0.0000  3 N 2.11-2.13, 2 Li 2.22
Li 0.0639 0.9361 0.5000  2 N 1.96
Li 0.1000 0.9000 0.5000  2 N 1.89
Li 0.1361 0.8639 0.5000  2 N 1.96
Li 0.1557 0.8443 0.0000  3 N 2.12-2.14, 2 Li 2.23
Li 0.2443 0.7557 0.0000  3 N 2.11-2.14, 2 Li 2.23
Li 0.2639 0.7361 0.5000  2 N 1.96
Li 0.3000 0.7000 0.5000  2 N 1.89
Li 0.3361 0.6639 0.5000  2 N 1.96
Li 0.3557 0.6443 0.0000  3 N 2.11-2.14, 2 Li 2.23
Li 0.4443 0.5557 0.0000  3 N 2.12, 2 Li 2.22
Li 0.4640 0.5360 0.5000  2 N 1.96
Li 0.5360 0.4640 0.5000  2 N 1.96
Li 0.5557 0.4443 0.0000  3 N 2.12, 2 Li 2.22
Li 0.6443 0.3557 0.0000  3 N 2.11-2.14, 2 Li 2.23
Li 0.6639 0.3361 0.5000  2 N 1.96
Li 0.7000 0.3000 0.5000  2 N 1.89
Li 0.7361 0.2639 0.5000  2 N 1.96
Li 0.7557 0.2443 0.0000  3 N 2.11-2.14, 2 Li 2.23
Li 0.8443 0.1557 0.0000  3 N 2.12-2.14, 2 Li 2.23
Li 0.8639 0.1361 0.5000  2 N 1.96
Li 0.9000 0.1000 0.5000  2 N 1.89
Li 0.9361 0.0639 0.5000  2 N 1.96
Li 0.9556 0.0444 0.0000  3 N 2.11-2.13, 2 Li 2.22
Ni 0.5000 0.5000 0.5000  2 N 1.89
N 0.0000 0.0000 0.5000  2 Ni 1.89
N 0.0649 0.9351 0.0000  5 Li 1.96-2.13
N 0.1351 0.8649 0.0000  5 Li 1.96-2.14
N 0.2000 0.8000 0.5000  2 Li 1.89
N 0.2649 0.7351 0.0000  5 Li 1.96-2.14
N 0.3351 0.6649 0.0000  5 Li 1.96-2.14
N 0.4000 0.6000 0.5000  2 Li 1.89
N 0.4647 0.5353 0.0000  5 Li 1.96-2.12
N 0.5353 0.4647 0.0000  5 Li 1.96-2.12
N 0.6000 0.4000 0.5000  2 Li 1.89
N 0.6649 0.3351 0.0000  5 Li 1.96-2.14
N 0.7351 0.2649 0.0000  5 Li 1.96-2.14
N 0.8000 0.2000 0.5000  2 Li 1.89
N 0.8649 0.1351 0.0000  5 Li 1.96-2.14
N 0.9351 0.0649 0.0000  5 Li 1.96-2.13

Output
- E_tot: -0.15902 Ha/atom
- Space-group type: Cmmm (65)
- Energy of formation: -0.56 eV/atom

What did the third record say?
A plane-wave DFT calculation with PBE was carried out for a relaxed Sr10Li24NiN15 crystal.

abc: 52.0445 52.0445 3.9168
angles: 90.00 90.00 175.85
Last column: nearest neighbours and their distance in Å.
Fractional positions:
Sr 0.0176 0.9824 0.0000  4 N 2.63-2.68, 1 Li 2.79
Sr 0.1828 0.8172 0.0000  4 N 2.65-2.66, 1 Li 2.82
Sr 0.2172 0.7828 0.0000  4 N 2.65, 1 Li 2.82
Sr 0.3828 0.6172 0.0000  4 N 2.65, 1 Li 2.82
Sr 0.4172 0.5828 0.0000  4 N 2.65-2.66, 1 Li 2.82
Sr 0.5828 0.4172 0.0000  4 N 2.65-2.66, 1 Li 2.82
Sr 0.6172 0.3828 0.0000  4 N 2.65, 1 Li 2.82
Sr 0.7828 0.2172 0.0000  4 N 2.65, 1 Li 2.82
Sr 0.8172 0.1828 0.0000  4 N 2.65-2.66, 1 Li 2.82
Sr 0.9824 0.0176 0.0000  4 N 2.63-2.68, 1 Li 2.79
Li 0.0444 0.9556 0.0000  3 N 2.11-2.13, 2 Li 2.22
Li 0.0639 0.9361 0.5000  2 N 1.96
Li 0.1000 0.9000 0.5000  2 N 1.89
Li 0.1361 0.8639 0.5000  2 N 1.96
Li 0.1557 0.8443 0.0000  3 N 2.12-2.14, 2 Li 2.23
Li 0.2443 0.7557 0.0000  3 N 2.11-2.14, 2 Li 2.23
Li 0.2639 0.7361 0.5000  2 N 1.96
Li 0.3000 0.7000 0.5000  2 N 1.89
Li 0.3361 0.6639 0.5000  2 N 1.96
Li 0.3557 0.6443 0.0000  3 N 2.11-2.14, 2 Li 2.23
Li 0.4443 0.5557 0.0000  3 N 2.12, 2 Li 2.22
Li 0.4640 0.5360 0.5000  2 N 1.96
Li 0.5360 0.4640 0.5000  2 N 1.96
Li 0.5557 0.4443 0.0000  3 N 2.12, 2 Li 2.22
Li 0.6443 0.3557 0.0000  3 N 2.11-2.14, 2 Li 2.23
Li 0.6639 0.3361 0.5000  2 N 1.96
Li 0.7000 0.3000 0.5000  2 N 1.89
Li 0.7361 0.2639 0.5000  2 N 1.96
Li 0.7557 0.2443 0.0000  3 N 2.11-2.14, 2 Li 2.23
Li 0.8443 0.1557 0.0000  3 N 2.12-2.14, 2 Li 2.23
Li 0.8639 0.1361 0.5000  2 N 1.96
Li 0.9000 0.1000 0.5000  2 N 1.89
Li 0.9361 0.0639 0.5000  2 N 1.96
Li 0.9556 0.0444 0.0000  3 N 2.11-2.13, 2 Li 2.22
Ni 0.5000 0.5000 0.5000  2 N 1.89
N 0.0000 0.0000 0.5000  2 Ni 1.89
N 0.0649 0.9351 0.0000  5 Li 1.96-2.13
N 0.1351 0.8649 0.0000  5 Li 1.96-2.14
N 0.2000 0.8000 0.5000  2 Li 1.89
N 0.2649 0.7351 0.0000  5 Li 1.96-2.14
N 0.3351 0.6649 0.0000  5 Li 1.96-2.14
N 0.4000 0.6000 0.5000  2 Li 1.89
N 0.4647 0.5353 0.0000  5 Li 1.96-2.12
N 0.5353 0.4647 0.0000  5 Li 1.96-2.12
N 0.6000 0.4000 0.5000  2 Li 1.89
N 0.6649 0.3351 0.0000  5 Li 1.96-2.14
N 0.7351 0.2649 0.0000  5 Li 1.96-2.14
N 0.8000 0.2000 0.5000  2 Li 1.89
N 0.8649 0.1351 0.0000  5 Li 1.96-2.14
N 0.9351 0.0649 0.0000  5 Li 1.96-2.13

Output
- E_tot: -0.15902 Ha/atom
- Space-group type: Cmmm (65)
- Energy of formation: -0.56 eV/atom

Q: Which formula does entry 3 have?
A: Sr10Li24NiN15

Q: Which value of E_tot does entry 2 give?
A: -0.19522 Ha/atom